MgV4P2O13 | PBE with a Hubbard U | relaxed

* formation energy from the elements: -2.5099 eV/atom
* total moment: 4.0 μB/cell

a b c (Å): 5.0746 5.4048 9.0146
angles (deg): 80.77 84.77 80.79
With the nearest neighbours (Å) after each atom.
Fractional positions:
1 Mg 0.0000 0.0000 0.0000  4 O 1.95-2.01
2 V 0.1760 0.6525 0.4300  4 O 1.90-2.11
3 V 0.4270 0.8172 0.7794  1 O 1.66
4 V 0.7846 0.2742 0.3872  2 O 1.74-1.75
5 V 0.9555 0.4976 0.0593  2 O 1.88-1.91
6 P 0.5072 0.0133 0.1498  4 O 1.50-1.59
7 P 0.8524 0.2836 0.7258  4 O 1.53-1.58
8 O 0.1194 0.1404 0.7890  1 P 1.56
9 O 0.2101 0.6847 0.9496  2 V 1.88-1.92, 1 Mg 1.96
10 O 0.2591 0.1701 0.0753  1 P 1.54
11 O 0.3412 0.7224 0.6266  1 V 1.66
12 O 0.4413 0.8580 0.2973  1 P 1.50
13 O 0.4425 0.3572 0.4254  2 V 1.74-1.92
14 O 0.6578 0.0923 0.7316  1 P 1.53
15 O 0.6659 0.8401 0.0342  1 P 1.59
16 O 0.7192 0.1968 0.1596  1 P 1.59
17 O 0.7527 0.4890 0.8335  1 P 1.58
18 O 0.9011 0.4176 0.5616  1 P 1.56
19 O 0.9372 0.9602 0.4335  2 V 1.75-1.90
20 O 0.9858 0.5232 0.2654  3 V 1.91-2.11

MgV4P4O20 | PBE with a Hubbard U | relaxed

* formation energy from the elements: -2.5865 eV/atom
* total moment: 2.0 μB/cell

a b c (Å): 5.1774 7.4215 10.2323
angles (deg): 70.33 78.60 69.84
With the nearest neighbours (Å) after each atom.
Fractional positions:
1 Mg 0.0000 0.0000 0.0000  5 O 1.98-2.19
2 V 0.2429 0.5368 0.1923  1 O 1.70
3 V 0.2739 0.3229 0.9341  2 O 1.75-1.94
4 V 0.3093 0.0796 0.6710  1 O 1.64
5 V 0.7937 0.7977 0.4406  1 O 1.66
6 P 0.5744 0.8654 0.1504  4 O 1.54-1.56
7 P 0.6636 0.3820 0.6440  4 O 1.54-1.55
8 P 0.8863 0.2489 0.2474  4 O 1.54-1.56
9 P 0.9137 0.7819 0.7512  4 O 1.52-1.57
10 O 0.0552 0.6474 0.3682  1 V 1.66
11 O 0.0814 0.8994 0.7842  1 P 1.57
12 O 0.1003 0.3118 0.2936  1 P 1.54
13 O 0.2008 0.1718 0.8564  1 V 1.75
14 O 0.3349 0.4747 0.0404  1 V 1.70
15 O 0.3410 0.8043 0.1186  1 P 1.55
16 O 0.4190 0.9873 0.5382  1 V 1.64
17 O 0.4891 0.2849 0.5983  1 P 1.55
18 O 0.5383 0.8597 0.3052  1 P 1.54
19 O 0.5694 0.0776 0.0490  1 P 1.56
20 O 0.5877 0.3682 0.7995  1 P 1.54
21 O 0.6023 0.4037 0.2599  1 P 1.54
22 O 0.6036 0.8937 0.7817  1 P 1.56
23 O 0.6140 0.6028 0.5552  1 P 1.54
24 O 0.8735 0.7403 0.1131  1 P 1.56
25 O 0.8742 0.0401 0.3466  1 P 1.56
26 O 0.9649 0.7808 0.5966  1 P 1.55
27 O 0.9723 0.2715 0.6142  1 P 1.55
28 O 0.9811 0.2258 0.0979  1 P 1.56
29 O 0.9877 0.5687 0.8484  1 P 1.52

MgV4P4O20 | PBE with a Hubbard U | relaxed

* formation energy from the elements: -2.5710 eV/atom
* total moment: 2.0 μB/cell

a b c (Å): 5.2389 7.3503 10.2110
angles (deg): 71.04 75.54 70.36
With the nearest neighbours (Å) after each atom.
Fractional positions:
1 Mg 0.0000 0.0000 0.0000  6 O 2.03-2.22
2 V 0.0000 0.5000 0.0000  6 O 1.85-1.97
3 V 0.0363 0.2678 0.7312  4 O 1.78-1.98
4 V 0.5000 0.0000 0.5000  6 O 1.84-1.92
5 V 0.9637 0.7322 0.2688  4 O 1.78-1.98
6 P 0.3528 0.0634 0.1943  4 O 1.54-1.56
7 P 0.4001 0.5638 0.6975  4 O 1.53-1.55
8 P 0.5999 0.4362 0.3025  4 O 1.53-1.55
9 P 0.6472 0.9366 0.8057  4 O 1.54-1.56
10 O 0.0353 0.6757 0.0844  2 V 1.85-1.98
11 O 0.1807 0.9455 0.1683  1 P 1.56
12 O 0.1977 0.1564 0.5893  2 V 1.78-1.84
13 O 0.2427 0.4615 0.6501  1 P 1.53
14 O 0.2719 0.2814 0.1050  1 P 1.54
15 O 0.2854 0.5709 0.8522  1 P 1.55
16 O 0.2907 0.5397 0.3196  1 P 1.53
17 O 0.2969 0.0522 0.3528  1 P 1.55
18 O 0.3365 0.0308 0.8469  1 P 1.55
19 O 0.3583 0.7792 0.6017  1 P 1.54
20 O 0.6417 0.2208 0.3983  1 P 1.54
21 O 0.6635 0.9692 0.1531  1 P 1.55
22 O 0.7031 0.9478 0.6472  1 P 1.55
23 O 0.7093 0.4603 0.6804  1 P 1.53
24 O 0.7146 0.4291 0.1478  1 P 1.55
25 O 0.7281 0.7186 0.8950  1 P 1.54
26 O 0.7573 0.5385 0.3499  1 P 1.53
27 O 0.8023 0.8436 0.4107  2 V 1.78-1.84
28 O 0.8193 0.0545 0.8317  1 P 1.56
29 O 0.9647 0.3243 0.9156  2 V 1.85-1.98

MgV3P3O13 | PBE with a Hubbard U | relaxed

* formation energy from the elements: -2.7104 eV/atom
* total moment: 12.0 μB/cell

a b c (Å): 7.6774 6.4013 10.1008
angles (deg): 90.00 100.15 90.00
With the nearest neighbours (Å) after each atom.
Fractional positions:
1 Mg 0.1264 0.2500 0.1846  3 O 2.13-2.21
2 Mg 0.8736 0.7500 0.8154  3 O 2.13-2.21
3 V 0.1418 0.2500 0.7997  5 O 1.96-2.07
4 V 0.2812 0.7500 0.4332  5 O 1.89-2.04
5 V 0.5000 0.0000 0.0000  6 O 2.00-2.14
6 V 0.5000 0.5000 0.0000  6 O 2.00-2.14
7 V 0.7188 0.2500 0.5668  5 O 1.89-2.04
8 V 0.8582 0.7500 0.2003  5 O 1.96-2.07
9 P 0.1795 0.7500 0.1093  4 O 1.55-1.57
10 P 0.2281 0.7500 0.7626  4 O 1.51-1.56
11 P 0.2844 0.2500 0.5017  4 O 1.54-1.55
12 P 0.7156 0.7500 0.4983  4 O 1.54-1.55
13 P 0.7719 0.2500 0.2374  4 O 1.51-1.56
14 P 0.8205 0.2500 0.8907  4 O 1.55-1.57
15 O 0.0107 0.2500 0.9763  1 P 1.56
16 O 0.1080 0.5639 0.7891  1 P 1.56
17 O 0.1080 0.9361 0.7891  1 P 1.56
18 O 0.1313 0.7500 0.2535  1 P 1.57
19 O 0.1598 0.2500 0.6051  1 P 1.54
20 O 0.2487 0.0638 0.4022  1 P 1.55
21 O 0.2487 0.4362 0.4022  1 P 1.55
22 O 0.2729 0.7500 0.6226  1 P 1.51
23 O 0.2829 0.5452 0.0963  1 P 1.55
24 O 0.2829 0.9548 0.0963  1 P 1.55
25 O 0.3801 0.2500 0.9072  3 V 1.96-2.00
26 O 0.4027 0.7500 0.8672  1 P 1.55
27 O 0.4764 0.2500 0.5818  1 P 1.55
28 O 0.5236 0.7500 0.4182  1 P 1.55
29 O 0.5973 0.2500 0.1328  1 P 1.55
30 O 0.6199 0.7500 0.0928  3 V 1.96-2.00
31 O 0.7171 0.0452 0.9037  1 P 1.55
32 O 0.7171 0.4548 0.9037  1 P 1.55
33 O 0.7271 0.2500 0.3774  1 P 1.51
34 O 0.7513 0.5638 0.5978  1 P 1.55
35 O 0.7513 0.9362 0.5978  1 P 1.55
36 O 0.8402 0.7500 0.3949  1 P 1.54
37 O 0.8687 0.2500 0.7465  1 P 1.57
38 O 0.8920 0.0639 0.2109  1 P 1.56
39 O 0.8920 0.4361 0.2109  1 P 1.56
40 O 0.9893 0.7500 0.0237  1 P 1.56

Number 1: ρ 3.44 g cm⁻³. Number 2: ρ 3.22 g cm⁻³. Number 3: ρ 3.23 g cm⁻³. Number 4: ρ 3.25 g cm⁻³.